[1]
Here is PrPO4 after structural relaxation from the Materials Project database. Energies are from r2SCAN.

Cell lengths 6.4441, 7.0171, 8.1975 Å; angles 90.00, 126.34, 90.00 degrees
Last column: nearest neighbours and their distance in Å.
Fractional coordinates of all 24 atoms:
Pr: 0.1816 0.1582 0.2818  8 O 2.45-2.65
Pr: 0.1816 0.3418 0.7818  8 O 2.45-2.65
Pr: 0.8184 0.6582 0.2182  8 O 2.45-2.65
Pr: 0.8184 0.8418 0.7182  8 O 2.45-2.65
P: 0.3094 0.6626 0.1966  4 O 1.53-1.55
P: 0.3094 0.8374 0.6966  4 O 1.53-1.55
P: 0.6906 0.1626 0.3034  4 O 1.53-1.55
P: 0.6906 0.3374 0.8034  4 O 1.53-1.55
O: 0.1180 0.6684 0.6193  1 P 1.55
O: 0.1180 0.8316 0.1193  1 P 1.55
O: 0.1936 0.5059 0.2506  1 P 1.53
O: 0.1936 0.9941 0.7506  1 P 1.53
O: 0.3334 0.6058 0.0273  1 P 1.54
O: 0.3334 0.8942 0.5273  1 P 1.54
O: 0.4150 0.2130 0.1260  1 P 1.53
O: 0.4150 0.2870 0.6260  1 P 1.53
O: 0.5850 0.7130 0.3740  1 P 1.53
O: 0.5850 0.7870 0.8740  1 P 1.53
O: 0.6666 0.1058 0.4727  1 P 1.54
O: 0.6666 0.3942 0.9727  1 P 1.54
O: 0.8064 0.0059 0.2494  1 P 1.53
O: 0.8064 0.4941 0.7494  1 P 1.53
O: 0.8820 0.1684 0.8807  1 P 1.55
O: 0.8820 0.3316 0.3807  1 P 1.55

**Calculated formation energy**: -3.284 eV/atom
**Space group**: P2_1/c

[2]
Here is P2PtO7 after structural relaxation from the Materials Project database. Energies are from r2SCAN.

Cell lengths 7.1040, 7.9375, 9.3989 Å; angles 90.00, 112.97, 90.00 degrees
Last column: nearest neighbours and their distance in Å.
Fractional coordinates of all 40 atoms:
P: 0.0679 0.1801 0.3199  4 O 1.52-1.59
P: 0.0679 0.3199 0.8199  4 O 1.52-1.59
P: 0.3450 0.7476 0.2074  4 O 1.51-1.59
P: 0.3450 0.7524 0.7074  4 O 1.51-1.59
P: 0.6550 0.2476 0.2926  4 O 1.51-1.59
P: 0.6550 0.2524 0.7926  4 O 1.51-1.59
P: 0.9321 0.6801 0.1801  4 O 1.52-1.59
P: 0.9321 0.8199 0.6801  4 O 1.52-1.59
Pt: 0.0000 0.0000 0.0000  6 O 2.00
Pt: 0.0000 0.5000 0.5000  6 O 2.00
Pt: 0.5000 0.0000 0.5000  6 O 1.99-2.00
Pt: 0.5000 0.5000 0.0000  6 O 1.99-2.00
O: 0.0578 0.1860 0.1550  1 P 1.52
O: 0.0578 0.3140 0.6550  1 P 1.52
O: 0.1237 0.1413 0.8821  1 P 1.53
O: 0.1237 0.3587 0.3821  1 P 1.53
O: 0.1500 0.6338 0.1810  2 P 1.59
O: 0.1500 0.8662 0.6810  2 P 1.59
O: 0.1985 0.0392 0.4205  1 P 1.52
O: 0.1985 0.4608 0.9205  1 P 1.52
O: 0.2786 0.6008 0.6007  1 P 1.52
O: 0.2786 0.8992 0.1007  1 P 1.52
O: 0.4430 0.7126 0.8790  1 P 1.52
O: 0.4430 0.7874 0.3790  1 P 1.52
O: 0.4983 0.6374 0.1761  1 P 1.51
O: 0.4983 0.8626 0.6761  1 P 1.51
O: 0.5017 0.1374 0.3239  1 P 1.51
O: 0.5017 0.3626 0.8239  1 P 1.51
O: 0.5570 0.2126 0.6210  1 P 1.52
O: 0.5570 0.2874 0.1210  1 P 1.52
O: 0.7214 0.1008 0.8993  1 P 1.52
O: 0.7214 0.3992 0.3993  1 P 1.52
O: 0.8015 0.5392 0.0795  1 P 1.52
O: 0.8015 0.9608 0.5795  1 P 1.52
O: 0.8500 0.1338 0.3190  2 P 1.59
O: 0.8500 0.3662 0.8190  2 P 1.59
O: 0.8763 0.6413 0.6179  1 P 1.53
O: 0.8763 0.8587 0.1179  1 P 1.53
O: 0.9422 0.6860 0.3450  1 P 1.52
O: 0.9422 0.8140 0.8450  1 P 1.52

**Calculated formation energy**: -1.787 eV/atom
**Space group**: P2_1/c